This record from the Materials Project describes an optimized crystal structure of AcSm3. The functional is PBE-GGA.

Unit cell a=6.450 b=6.450 c=6.450 alpha=131.97 beta=131.97 gamma=70.27
Sites, in units of the cell vectors:
Sm 0.250 0.750 0.500
Sm 0.500 0.500 0.000
Sm 0.750 0.250 0.500
Ac 0.000 0.000 0.000

Values from the calculation:
As for the space-group type: No. 139. The value obtained for the formation energy is 1.089 kcal/mol of atoms.



This record from the Materials Project describes an optimized crystal structure of GeSb2Te4. The functional is PBE-GGA.

Unit cell a=7.439 b=7.439 c=7.439 alpha=131.43 beta=131.43 gamma=71.13
Sites, in units of the cell vectors:
Te 0.502 0.002 0.500
Te 0.998 0.498 0.500
Te 0.752 0.752 0.000
Te 0.248 0.248 0.000
Ge 0.000 0.000 0.000
Sb 0.250 0.750 0.500
Sb 0.500 0.500 0.000

Values from the calculation:
As for the space-group type: No. 119. The value obtained for the formation energy is -5.568 kcal/mol of atoms.



This record from the Materials Project describes an optimized crystal structure of Na6TaGa3Si2P4O24. The functional is PBE-GGA.

Unit cell a=15.296 b=8.879 c=8.850 alpha=90.21 beta=124.79 gamma=90.09
Sites, in units of the cell vectors:
Si 0.652 0.099 0.254
Si 0.352 0.891 0.751
Si 0.152 0.599 0.254
Si 0.852 0.391 0.751
Na 0.689 0.428 0.289
Na 0.810 0.077 0.707
Na 0.998 0.594 0.737
Na 0.750 0.250 0.998
Na 0.250 0.750 0.998
Na 0.310 0.577 0.707
Na 0.745 0.751 0.485
Na 0.498 0.094 0.737
Na 0.189 0.928 0.289
Na 0.245 0.251 0.485
Na 0.505 0.891 0.257
Na 0.005 0.391 0.257
O 0.752 0.315 0.738
O 0.432 0.445 0.075
O 0.933 0.061 0.584
O 0.347 0.080 0.764
O 0.643 0.854 0.912
O 0.574 0.553 0.934
O 0.143 0.354 0.912
O 0.246 0.689 0.256
O 0.433 0.561 0.584
O 0.458 0.826 0.936
O 0.743 0.830 0.758
O 0.856 0.371 0.570
O 0.243 0.330 0.758
O 0.958 0.326 0.936
O 0.356 0.871 0.570
O 0.538 0.174 0.072
O 0.647 0.134 0.429
O 0.956 0.667 0.438
O 0.074 0.053 0.934
O 0.932 0.945 0.075
O 0.044 0.330 0.562
O 0.922 0.151 0.259
O 0.358 0.158 0.092
O 0.252 0.815 0.738
O 0.755 0.669 0.242
O 0.351 0.933 0.250
O 0.422 0.651 0.259
O 0.921 0.863 0.764
O 0.582 0.637 0.245
O 0.082 0.137 0.245
O 0.575 0.345 0.740
O 0.544 0.830 0.562
O 0.851 0.433 0.250
O 0.456 0.167 0.438
O 0.565 0.439 0.421
O 0.038 0.674 0.072
O 0.147 0.634 0.429
O 0.065 0.939 0.421
O 0.652 0.917 0.238
O 0.152 0.417 0.238
O 0.746 0.189 0.256
O 0.075 0.845 0.740
O 0.255 0.169 0.242
O 0.858 0.658 0.092
O 0.847 0.580 0.764
O 0.650 0.067 0.741
O 0.421 0.363 0.764
O 0.150 0.567 0.741
P 0.142 0.393 0.743
P 0.642 0.893 0.743
P 0.355 0.108 0.260
P 0.999 0.044 0.255
P 0.006 0.962 0.754
P 0.855 0.608 0.260
P 0.506 0.462 0.754
P 0.499 0.544 0.255
Ga 0.601 0.754 0.056
Ga 0.395 0.745 0.438
Ga 0.105 0.754 0.561
Ga 0.895 0.245 0.438
Ga 0.605 0.254 0.561
Ga 0.101 0.254 0.056
Ta 0.895 0.749 0.937
Ta 0.395 0.249 0.937

Values from the calculation:
The value obtained for the distance to the lowest polymorph of the same formula is 2 meV/atom. The value obtained for the formation energy is -61.917 kcal/mol of atoms.